# Mo3WSe2S6, relaxed, DFT PBE
data_Mo3WSe2S6
_cell_length_a 3.2212
_cell_length_b 3.2212
_cell_length_c 36.3598
_cell_angle_alpha 90.00
_cell_angle_beta 90.00
_cell_angle_gamma 120.00
_symmetry_space_group_name_H-M 'P 3 m 1'
_symmetry_Int_Tables_number 156
_symmetry_space_group_name_Hall 'P 3 -2"'
loop_
_atom_site_label
_atom_site_type_symbol
_atom_site_fract_x
_atom_site_fract_y
_atom_site_fract_z
Mo1 Mo 0.0000 0.0000 0.0000
Mo2 Mo 0.0000 0.0000 0.3757
Mo3 Mo 0.3333 0.6667 0.1878
W1 W 0.3333 0.6667 0.5636
Se1 Se 0.3333 0.6667 0.3287
Se2 Se 0.3333 0.6667 0.4228
S1 S 0.0000 0.0000 0.1451
S2 S 0.0000 0.0000 0.2306
S3 S 0.0000 0.0000 0.5207
S4 S 0.0000 0.0000 0.6066
S5 S 0.3333 0.6667 0.0427
S6 S 0.3333 0.6667 0.9572
# Energy above the most stable polymorph in this dataset: 0.001 eV per atom

***

# Dy3NbO7, relaxed, DFT PBE
data_Dy3NbO7
_cell_length_a 7.5003
_cell_length_b 14.5177
_cell_length_c 5.3709
_cell_angle_alpha 90.00
_cell_angle_beta 90.00
_cell_angle_gamma 90.00
_symmetry_space_group_name_H-M 'C m m e'
_symmetry_Int_Tables_number 67
_symmetry_space_group_name_Hall '-C 2a 2'
loop_
_atom_site_label
_atom_site_type_symbol
_atom_site_fract_x
_atom_site_fract_y
_atom_site_fract_z
Dy1 Dy 0.0000 0.1202 0.0298
Dy2 Dy 0.2500 0.2500 0.5000
Nb1 Nb 0.2500 0.0000 0.5000
O1 O 0.0000 0.0122 0.2867
O2 O 0.0000 0.2500 0.2606
O3 O 0.2174 0.1206 0.7376
# Energy above the most stable polymorph in this dataset: 0.183 eV per atom

***

# KHSO4, relaxed, DFT PBE
data_KHSO4
_cell_length_a 9.4288
_cell_length_b 10.5926
_cell_length_c 18.9676
_cell_angle_alpha 90.00
_cell_angle_beta 90.00
_cell_angle_gamma 90.00
_symmetry_space_group_name_H-M 'P b c a'
_symmetry_Int_Tables_number 61
_symmetry_space_group_name_Hall '-P 2ac 2ab'
loop_
_atom_site_label
_atom_site_type_symbol
_atom_site_fract_x
_atom_site_fract_y
_atom_site_fract_z
K1 K 0.1355 0.1252 0.1134
K2 K 0.1580 0.1812 0.8795
H1 H 0.1174 0.6625 0.5241
H2 H 0.2470 0.5522 0.2723
S1 S 0.0240 0.0116 0.2876
S2 S 0.0341 0.6143 0.9746
O1 O 0.0496 0.5861 0.1593
O2 O 0.0596 0.9995 0.7784
O3 O 0.0831 0.6087 0.8114
O4 O 0.0852 0.1969 0.5036
O5 O 0.1183 0.5541 0.4450
O6 O 0.1308 0.5706 0.5184
O7 O 0.1611 0.0977 0.2651
O8 O 0.1686 0.6502 0.0100
# Energy above the most stable polymorph in this dataset: 0.349 eV per atom

***

Below is EuAlGe2O7 after structural relaxation, with properties calculated at the PBE level.

Cell and atoms, written as CIF:
```
data_EuAlGe2O7
_cell_length_a 7.3187
_cell_length_b 6.5640
_cell_length_c 12.8680
_cell_angle_alpha 90.00
_cell_angle_beta 117.23
_cell_angle_gamma 90.00
_symmetry_space_group_name_H-M 'P 1 21/c 1'
_symmetry_Int_Tables_number 14
_symmetry_space_group_name_Hall '-P 2ybc'
loop_
_atom_site_label
_atom_site_type_symbol
_atom_site_fract_x
_atom_site_fract_y
_atom_site_fract_z
Eu1 Eu 0.2438 0.1457 0.4737
Al1 Al 0.2114 0.1012 0.7295
Ge1 Ge 0.2083 0.6575 0.4500
Ge2 Ge 0.3045 0.5910 0.7187
O1 O 0.0062 0.6608 0.9125
O2 O 0.1636 0.6814 0.1889
O3 O 0.2034 0.0525 0.8648
O4 O 0.2269 0.1148 0.2777
O5 O 0.2475 0.5027 0.5728
O6 O 0.4075 0.6754 0.9770
O7 O 0.4275 0.1231 0.6988
```

***

# Na3PH12CO11, relaxed, DFT PBE
data_Na3PH12CO11
_cell_length_a 8.9876
_cell_length_b 12.3657
_cell_length_c 11.9875
_cell_angle_alpha 90.00
_cell_angle_beta 122.63
_cell_angle_gamma 90.00
_symmetry_space_group_name_H-M 'P 1 21/c 1'
_symmetry_Int_Tables_number 14
_symmetry_space_group_name_Hall '-P 2ybc'
loop_
_atom_site_label
_atom_site_type_symbol
_atom_site_fract_x
_atom_site_fract_y
_atom_site_fract_z
Na1 Na 0.0010 0.1645 0.2313
Na2 Na 0.3434 0.5690 0.2408
Na3 Na 0.3584 0.2405 0.7262
P1 P 0.1389 0.5896 0.7916
H1 H 0.0977 0.1194 0.5301
H2 H 0.1311 0.7360 0.6067
H3 H 0.1403 0.0429 0.1336
H4 H 0.1600 0.6893 0.0127
H5 H 0.1925 0.1136 0.0549
H6 H 0.2291 0.0617 0.5028
H7 H 0.3182 0.5945 0.6392
H8 H 0.3998 0.0791 0.3659
H9 H 0.4041 0.7419 0.3959
H10 H 0.4117 0.6346 0.0429
H11 H 0.4180 0.1817 0.0064
H12 H 0.4840 0.0813 0.7665
C1 C 0.1081 0.0866 0.7912
O1 O 0.1274 0.6869 0.0800
O2 O 0.1487 0.1197 0.1133
O3 O 0.1600 0.6036 0.6730
O4 O 0.1786 0.5057 0.3199
O5 O 0.1895 0.1778 0.8212
O6 O 0.2115 0.0203 0.3609
O7 O 0.2132 0.6879 0.8878
O8 O 0.2191 0.0894 0.5772
O9 O 0.4294 0.5914 0.6392
O10 O 0.4972 0.2024 0.1002
O11 O 0.4977 0.1154 0.3647
# Energy above the most stable polymorph in this dataset: 0.025 eV per atom

***

Below is Tb4Fe34C3 after structural relaxation, with properties calculated at the PBE level.

Cell and atoms, written as CIF:
```
data_Tb4Fe34C3
_cell_length_a 6.4501
_cell_length_b 6.4830
_cell_length_c 12.9283
_cell_angle_alpha 83.75
_cell_angle_beta 83.28
_cell_angle_gamma 83.91
_symmetry_space_group_name_H-M 'P -1'
_symmetry_Int_Tables_number 2
_symmetry_space_group_name_Hall '-P 1'
loop_
_atom_site_label
_atom_site_type_symbol
_atom_site_fract_x
_atom_site_fract_y
_atom_site_fract_z
Tb1 Tb 0.1517 0.1645 0.0765
Tb2 Tb 0.1607 0.1611 0.5746
Fe1 Fe 0.9998 0.4991 0.2505
Fe2 Fe 0.1551 0.1589 0.8230
Fe3 Fe 0.1546 0.6465 0.0772
Fe4 Fe 0.1551 0.6502 0.5767
Fe5 Fe 0.1577 0.1570 0.3256
Fe6 Fe 0.2112 0.5022 0.3945
Fe7 Fe 0.2132 0.4983 0.8934
Fe8 Fe 0.2147 0.7854 0.7494
Fe9 Fe 0.2153 0.7859 0.2500
Fe10 Fe 0.3506 0.8444 0.4233
Fe11 Fe 0.3519 0.8418 0.9217
Fe12 Fe 0.4035 0.4028 0.2018
Fe13 Fe 0.4042 0.4043 0.7006
Fe14 Fe 0.4978 0.0008 0.7489
Fe15 Fe 0.4988 0.7860 0.1076
Fe16 Fe 0.4986 0.7876 0.6053
Fe17 Fe 0.5000 0.5000 0.0000
Fe18 Fe 0.5000 0.5000 0.5000
C1 C 0.0005 0.0007 0.2508
C2 C 0.5000 0.0000 0.0000
```

***

Below is V4Os after structural relaxation, with properties calculated at the PBE level.

Cell and atoms, written as CIF:
```
data_V4Os
_cell_length_a 3.0223
_cell_length_b 4.3906
_cell_length_c 20.5959
_cell_angle_alpha 90.00
_cell_angle_beta 90.00
_cell_angle_gamma 90.00
_symmetry_space_group_name_H-M 'F m m m'
_symmetry_Int_Tables_number 69
_symmetry_space_group_name_Hall '-F 2 2'
loop_
_atom_site_label
_atom_site_type_symbol
_atom_site_fract_x
_atom_site_fract_y
_atom_site_fract_z
V1 V 0.0000 0.0000 0.1015
V2 V 0.0000 0.0000 0.2994
Os1 Os 0.0000 0.0000 0.5000
```

***

# TlCu4Se3, relaxed, DFT PBE
data_TlCu4Se3
_cell_length_a 3.8670
_cell_length_b 3.8670
_cell_length_c 10.1310
_cell_angle_alpha 90.00
_cell_angle_beta 90.00
_cell_angle_gamma 90.00
_symmetry_space_group_name_H-M 'P 4/m m m'
_symmetry_Int_Tables_number 123
_symmetry_space_group_name_Hall '-P 4 2'
loop_
_atom_site_label
_atom_site_type_symbol
_atom_site_fract_x
_atom_site_fract_y
_atom_site_fract_z
Tl1 Tl 0.0000 0.0000 0.0000
Cu1 Cu 0.0000 0.5000 0.3383
Se1 Se 0.0000 0.0000 0.5000
Se2 Se 0.5000 0.5000 0.1936
# Energy above the most stable polymorph in this dataset: 0.008 eV per atom

***

Below is Cu2Te2PbCl2O6 after structural relaxation, with properties calculated at the PBE level.

Cell and atoms, written as CIF:
```
data_Cu2Te2PbCl2O6
_cell_length_a 7.3295
_cell_length_b 7.3423
_cell_length_c 8.4046
_cell_angle_alpha 90.00
_cell_angle_beta 96.33
_cell_angle_gamma 90.00
_symmetry_space_group_name_H-M 'P 1 21 1'
_symmetry_Int_Tables_number 4
_symmetry_space_group_name_Hall 'P 2yb'
loop_
_atom_site_label
_atom_site_type_symbol
_atom_site_fract_x
_atom_site_fract_y
_atom_site_fract_z
Cu1 Cu 0.1381 0.0000 0.4118
Cu2 Cu 0.1809 0.4821 0.9125
Te1 Te 0.1466 0.8613 0.7333
Te2 Te 0.3722 0.1321 0.1120
Pb1 Pb 0.3736 0.4906 0.4390
Cl1 Cl 0.0508 0.7663 0.1214
Cl2 Cl 0.3920 0.2488 0.7283
O1 O 0.0371 0.4396 0.4365
O2 O 0.0398 0.6196 0.7422
O3 O 0.2959 0.8356 0.5579
O4 O 0.3085 0.3818 0.1084
O5 O 0.3543 0.1158 0.3369
O6 O 0.3683 0.6728 0.8763
```

***

| no. | formation energy from the elements (eV/atom) |
| --- | --- |
| 1 | -1.05 |
| 2 | -3.52 |
| 3 | -1.61 |
| 4 | -2.67 |
| 5 | -1.57 |
| 6 | -0.04 |
| 7 | -0.11 |
| 8 | -0.35 |
| 9 | -1.22 |